No. 1
VASP calculation (r²SCAN) on a relaxed CsMoF7 crystal.

Lattice parameters (Å, degrees): 10.559 10.559 10.559 90.00 90.00 90.00
Space group Pa-3 (No. 205)
Unique sites:
Cs 0.000 0.000 0.000 [4 per cell]
Cs 0.000 0.000 0.500 [4 per cell]
Mo 0.224 0.224 0.224 [8 per cell]
F 0.069 0.136 0.256 [24 per cell]
F 0.116 0.143 0.770 [24 per cell]
F 0.174 0.674 0.826 [8 per cell]

Results
crystal system	cubic

No. 2
VASP calculation (r²SCAN) on a relaxed Cs2NaTbF6 crystal.

Lattice parameters (Å, degrees): 9.013 9.013 9.013 90.00 90.00 90.00
Space group Fm-3m (No. 225)
Unique sites:
Cs 0.250 0.250 0.250 [8 per cell]
Na 0.000 0.000 0.000 [4 per cell]
Tb 0.000 0.000 0.500 [4 per cell]
F 0.000 0.000 0.257 [24 per cell]

Results
crystal system	cubic

No. 3
VASP calculation (r²SCAN) on a relaxed CsNbNiO2F4 crystal.

Lattice parameters (Å, degrees): 10.426 10.588 7.383 90.00 134.56 90.00
Space group C2 (No. 5)
Unique sites:
Cs 0.000 0.000 0.000 [2 per cell]
Cs 0.000 0.262 0.500 [2 per cell]
Nb 0.242 0.384 0.259 [4 per cell]
Ni 0.001 0.627 0.752 [4 per cell]
O 0.000 0.310 0.000 [2 per cell]
O 0.000 0.919 0.500 [2 per cell]
O 0.186 0.505 0.366 [4 per cell]
F 0.000 0.561 0.500 [2 per cell]
F 0.000 0.699 0.000 [2 per cell]
F 0.200 0.496 0.998 [4 per cell]
F 0.200 0.747 0.892 [4 per cell]
F 0.202 0.750 0.500 [4 per cell]

Results
crystal system	monoclinic

No. 4
VASP calculation (r²SCAN) on a relaxed Cs4Ni3F10 crystal.

Lattice parameters (Å, degrees): 6.135 14.401 13.693 90.00 90.00 90.00
Space group Cmce (No. 64)
Unique sites:
Cs 0.000 0.047 0.139 [8 per cell]
Cs 0.000 0.246 0.387 [8 per cell]
Ni 0.000 0.000 0.500 [4 per cell]
Ni 0.000 0.117 0.654 [8 per cell]
F 0.000 0.027 0.357 [8 per cell]
F 0.000 0.249 0.150 [8 per cell]
F 0.213 0.099 0.539 [16 per cell]
F 0.250 0.111 0.750 [8 per cell]

Results
crystal system	orthorhombic

No. 5
VASP calculation (r²SCAN) on a relaxed Cs2TiOF5 crystal.

Lattice parameters (Å, degrees): 9.633 9.303 8.095 90.00 90.00 90.00
Space group Cmcm (No. 63)
Unique sites:
Cs 0.249 0.249 0.250 [8 per cell]
Ti 0.000 0.500 0.000 [4 per cell]
O 0.000 0.008 0.750 [4 per cell]
F 0.000 0.301 0.000 [8 per cell]
F 0.000 0.499 0.250 [4 per cell]
F 0.195 0.500 0.000 [8 per cell]

Results
crystal system	orthorhombic

No. 6
VASP calculation (r²SCAN) on a relaxed CsPF6 crystal.

Lattice parameters (Å, degrees): 5.6223 5.6223 14.3976 90.00 90.00 120.00
Space group R-3m (No. 166, hexagonal axes)
Unique sites:
Cs 0.0000 0.0000 0.0000 [3 per cell]
P 0.0000 0.0000 0.5000 [3 per cell]
F 0.0613 0.5307 0.1019 [18 per cell]

Results
crystal system	trigonal

| no. | calculated total energy (eV/cell) |
| --- | --- |
| 1 | -786.7 |
| 2 | -558.5 |
| 3 | -444.0 |
| 4 | -848.4 |
| 5 | -441.7 |
| 6 | -230.2 |